Ce2Mn3Si4Pd after structural relaxation, computed with PBE-GGA.

Calculated values
ΔE_f = -0.6398 eV per atom
symmetry = No. 115

a = 4.033 Å, b = 4.033 Å, c = 10.340 Å
α = 90.00°, β = 90.00°, γ = 90.00°
Positions (direct):
Ce: 0.000 0.500 0.245
Ce: 0.500 0.000 0.755
Mn: 0.000 0.000 0.000
Mn: 0.500 0.500 0.000
Mn: 0.500 0.500 0.500
Si: 0.000 0.500 0.638
Si: 0.000 0.500 0.872
Si: 0.500 0.000 0.128
Si: 0.500 0.000 0.362
Pd: 0.000 0.000 0.500